1.
Here is Na3B3H2O7 after structural relaxation from the Materials Project. Energies are from r²SCAN.

abc: 8.842 7.068 9.518
angles: 90.00 90.00 90.00
Space group Pnma (No. 62)
One atom of each set of equivalent atoms:
Na 0.038 0.250 0.169 [4 per cell]
Na 0.228 0.503 0.804 [8 per cell]
B 0.015 0.750 0.284 [4 per cell]
B 0.095 0.750 0.544 [4 per cell]
B 0.178 0.250 0.520 [4 per cell]
H 0.085 0.620 0.107 [8 per cell]
O 0.035 0.580 0.194 [8 per cell]
O 0.062 0.250 0.420 [4 per cell]
O 0.127 0.750 0.400 [4 per cell]
O 0.140 0.250 0.660 [4 per cell]
O 0.177 0.750 0.977 [4 per cell]
O 0.199 0.750 0.644 [4 per cell]

Results
The value obtained for the total energy is -7.625 eV/atom.

2.
Here is Nd3Ag4Sn4 after structural relaxation from the Materials Project. Energies are from r²SCAN.

abc: 4.669 7.379 15.560
angles: 90.00 90.00 90.00
Space group Immm (No. 71)
One atom of each set of equivalent atoms:
Nd 0.000 0.000 0.000 [2 per cell]
Nd 0.000 0.500 0.130 [4 per cell]
Ag 0.000 0.306 0.330 [8 per cell]
Sn 0.000 0.000 0.216 [4 per cell]
Sn 0.000 0.194 0.500 [4 per cell]

Results
The value obtained for the total energy is -25.401 eV/atom.

3.
Here is TiRh3 after structural relaxation from the Materials Project. Energies are from r²SCAN.

abc: 3.826 3.826 3.826
angles: 90.00 90.00 90.00
Space group Pm-3m (No. 221)
One atom of each set of equivalent atoms:
Ti 0.000 0.000 0.000 [1 per cell]
Rh 0.000 0.500 0.500 [3 per cell]

Results
The value obtained for the total energy is -22.005 eV/atom.

4.
Here is NdZrF7 after structural relaxation from the Materials Project. Energies are from r²SCAN.

abc: 6.236 5.798 8.400
angles: 90.00 102.27 90.00
Space group P2_1 (No. 4)
One atom of each set of equivalent atoms:
Nd 0.159 0.000 0.187 [2 per cell]
Zr 0.309 0.990 0.724 [2 per cell]
F 0.052 0.204 0.715 [2 per cell]
F 0.058 0.323 0.031 [2 per cell]
F 0.117 0.707 0.714 [2 per cell]
F 0.253 0.001 0.480 [2 per cell]
F 0.360 0.988 0.970 [2 per cell]
F 0.444 0.265 0.273 [2 per cell]
F 0.462 0.742 0.260 [2 per cell]

Results
The value obtained for the total energy is -12.412 eV/atom.

5.
Here is BaNiSn3 after structural relaxation from the Materials Project. Energies are from r²SCAN.

abc: 4.838 4.838 11.011
angles: 90.00 90.00 90.00
Space group I4mm (No. 107)
One atom of each set of equivalent atoms:
Ba 0.000 0.000 0.000 [2 per cell]
Ni 0.000 0.000 0.659 [2 per cell]
Sn 0.000 0.000 0.426 [2 per cell]
Sn 0.000 0.500 0.249 [4 per cell]

Results
The value obtained for the total energy is -23.004 eV/atom.

6.
Here is LiCaGe2 after structural relaxation from the Materials Project. Energies are from r²SCAN.

abc: 8.021 3.909 10.702
angles: 90.00 90.00 90.00
Space group Pnma (No. 62)
One atom of each set of equivalent atoms:
Li 0.006 0.250 0.111 [4 per cell]
Ca 0.132 0.750 0.365 [4 per cell]
Ge 0.163 0.750 0.679 [4 per cell]
Ge 0.227 0.750 0.064 [4 per cell]

Results
The value obtained for the total energy is -9.875 eV/atom.